(1)
## CaAlSi (r²SCAN)

Data for an optimized crystal structure of CaAlSi.

The structure belongs to space group P-6m2 (No. 187); the cell edges are 4.1859, 4.1859 and 4.4286 Å and the angles 90.00°, 90.00° and 120.00°. Symmetry generates all atoms from Ca at (0.0000, 0.0000, 0.0000), Al at (0.6667, 0.3333, 0.5000) and Si at (0.3333, 0.6667, 0.5000).

The formation energy comes out at -0.44 eV per atom.

---

(2)
## CaAlSi (r²SCAN)

Data for an optimized crystal structure of CaAlSi.

The structure belongs to space group P6_3mc (No. 186); the cell edges are 4.1891, 4.1891 and 26.3591 Å and the angles 90.00°, 90.00° and 120.00°. Symmetry generates all atoms from Ca at (0.0000, 0.0000, 0.0000), Ca at (0.0000, 0.0000, 0.1646), Ca at (0.0000, 0.0000, 0.3318), Al at (0.3333, 0.6667, 0.0839), Al at (0.3333, 0.6667, 0.2421), Al at (0.3333, 0.6667, 0.9213), Si at (0.3333, 0.6667, 0.4108), Si at (0.3333, 0.6667, 0.5813) and Si at (0.3333, 0.6667, 0.7532).

The formation energy comes out at -0.45 eV per atom.

---

(3)
## CaAlSi (r²SCAN)

Data for an optimized crystal structure of CaAlSi.

The structure belongs to space group P6_3/mmc (No. 194); the cell edges are 4.1909, 4.1909 and 26.3807 Å and the angles 90.00°, 90.00° and 120.00°. Symmetry generates all atoms from Ca at (0.0000, 0.0000, 0.0000), Ca at (0.0000, 0.0000, 0.1677), Al at (0.3333, 0.6667, 0.0895), Al at (0.3333, 0.6667, 0.2500), Si at (0.3333, 0.6667, 0.5790) and Si at (0.3333, 0.6667, 0.7500).

The formation energy comes out at -0.45 eV per atom.

---

(4)
## CaAl2Si2 (r²SCAN)

Data for an optimized crystal structure of CaAl2Si2.

The structure belongs to space group P-3m1 (No. 164); the cell edges are 4.1376, 4.1376 and 7.0974 Å and the angles 90.00°, 90.00° and 120.00°. Symmetry generates all atoms from Ca at (0.0000, 0.0000, 0.0000), Al at (0.3333, 0.6667, 0.6291) and Si at (0.3333, 0.6667, 0.2660).

The formation energy comes out at -0.35 eV per atom.